No. 1
KMgPH12O10 after structural relaxation, computed with PBE.

formation energy	-4188	kJ/mol of formula units
total energy	-5.3942	eV/atom
space group	Pmn2_1
total magnetic moment	0.00	Bohr magnetons per cell

Cell lengths 6.161, 6.955, 11.191 Å; angles 90.00, 90.00, 90.00 degrees
Sites, in units of the cell vectors:
O 0.691 0.000 0.561
O 0.483 0.789 0.767
O 0.975 0.000 0.134
O 0.517 0.711 0.267
O 0.723 0.726 0.036
O 0.238 0.500 0.829
O 0.116 0.183 0.316
O 0.762 0.000 0.329
O 0.277 0.226 0.536
O 0.723 0.274 0.036
O 0.934 0.500 0.229
O 0.884 0.683 0.816
O 0.517 0.289 0.267
O 0.309 0.500 0.061
O 0.884 0.317 0.816
O 0.025 0.500 0.634
O 0.066 0.000 0.729
O 0.116 0.817 0.316
O 0.483 0.211 0.767
O 0.277 0.774 0.536
K 0.633 0.500 0.493
K 0.367 0.000 0.993
Mg 0.614 0.500 0.147
Mg 0.386 0.000 0.647
H 0.724 0.000 0.473
H 0.388 0.676 0.788
H 0.212 0.201 0.455
H 0.788 0.299 0.955
H 0.388 0.324 0.788
H 0.003 0.883 0.769
H 0.612 0.824 0.288
H 0.179 0.678 0.576
H 0.821 0.178 0.076
H 0.788 0.701 0.955
H 0.612 0.176 0.288
H 0.831 0.000 0.603
H 0.997 0.383 0.269
H 0.997 0.617 0.269
H 0.363 0.755 0.279
H 0.212 0.799 0.455
H 0.276 0.500 0.973
H 0.637 0.745 0.779
H 0.637 0.255 0.779
H 0.821 0.822 0.076
H 0.363 0.245 0.279
H 0.169 0.500 0.103
H 0.179 0.322 0.576
H 0.003 0.117 0.769
P 0.005 0.500 0.772
P 0.995 0.000 0.272

=====

No. 2
GdIr3 after structural relaxation, computed with PBE.

formation energy	-224	kJ/mol of formula units
distance to the lowest polymorph of the same formula	0	meV/atom
total energy	-10.7282	eV/atom
space group	C2/m
total magnetic moment	20.35	Bohr magnetons per cell

Cell lengths 5.341, 5.341, 9.314 Å; angles 73.20, 73.20, 59.99 degrees
Sites, in units of the cell vectors:
Ir 0.581 0.581 0.755
Ir 0.668 0.668 0.997
Ir 0.419 0.419 0.245
Ir 0.916 0.421 0.245
Ir 0.579 0.084 0.755
Ir 0.421 0.916 0.245
Ir 0.500 0.500 0.500
Ir 0.084 0.579 0.755
Ir 0.332 0.332 0.003
Gd 0.000 0.000 0.000
Gd 0.860 0.860 0.418
Gd 0.140 0.140 0.581

=====

No. 3
Mg2Cu2H2CO9 after structural relaxation, computed with PBE.

formation energy	-2268	kJ/mol of formula units
total energy	-5.5790	eV/atom
space group	C2/c
total magnetic moment	0.00	Bohr magnetons per cell

Cell lengths 7.974, 7.974, 7.705 Å; angles 73.72, 73.72, 88.11 degrees
Sites, in units of the cell vectors:
H 0.203 0.788 0.450
H 0.797 0.212 0.550
H 0.212 0.797 0.050
H 0.788 0.203 0.950
O 0.545 0.849 0.561
O 0.455 0.151 0.439
O 0.151 0.455 0.939
O 0.464 0.359 0.002
O 0.905 0.897 0.755
O 0.897 0.905 0.255
O 0.641 0.536 0.498
O 0.169 0.831 0.250
O 0.772 0.234 0.424
O 0.103 0.095 0.745
O 0.234 0.772 0.924
O 0.766 0.228 0.076
O 0.095 0.103 0.245
O 0.359 0.464 0.502
O 0.228 0.766 0.576
O 0.536 0.641 0.998
O 0.849 0.545 0.061
O 0.831 0.169 0.750
Cu 0.342 0.555 0.968
Cu 0.555 0.342 0.468
Cu 0.658 0.445 0.032
Cu 0.445 0.658 0.532
Mg 0.964 0.317 0.163
Mg 0.683 0.036 0.337
Mg 0.317 0.964 0.663
Mg 0.036 0.683 0.837
C 0.052 0.948 0.250
C 0.948 0.052 0.750

=====

No. 4
MgSb2O4 after structural relaxation, computed with PBE.

formation energy	-1351	kJ/mol of formula units
distance to the lowest polymorph of the same formula	171	meV/atom
total energy	-5.8431	eV/atom
space group	P1
total magnetic moment	0.00	Bohr magnetons per cell

Cell lengths 6.049, 6.060, 20.476 Å; angles 89.71, 94.20, 110.96 degrees
Sites, in units of the cell vectors:
O 0.106 0.797 0.417
O 0.706 0.376 0.382
O 0.535 0.512 0.232
O 0.363 0.612 0.511
O 0.224 0.191 0.611
O 0.922 0.529 0.746
O 0.857 0.572 0.036
O 0.511 0.790 0.375
O 0.722 0.288 0.867
O 0.088 0.489 0.280
O 0.631 0.795 0.938
O 0.103 0.306 0.407
O 0.456 0.494 0.792
O 0.794 0.773 0.620
O 0.482 0.237 0.079
O 0.218 0.915 0.969
O 0.216 0.409 0.951
O 0.904 0.104 0.039
O 0.221 0.130 0.304
O 0.742 0.249 0.619
O 0.396 0.943 0.220
O 0.394 0.679 0.095
O 0.025 0.028 0.741
O 0.462 0.018 0.747
Sb 0.958 0.488 0.461
Sb 0.877 0.208 0.323
Sb 0.148 0.905 0.062
Sb 0.446 0.907 0.459
Sb 0.602 0.802 0.175
Sb 0.123 0.804 0.685
Sb 0.330 0.153 0.816
Sb 0.830 0.318 0.099
Sb 0.901 0.075 0.569
Sb 0.256 0.215 0.208
Sb 0.797 0.615 0.829
Sb 0.299 0.706 0.904
Mg 0.528 0.452 0.591
Mg 0.786 0.184 0.715
Mg 0.243 0.814 0.312
Mg 0.877 0.147 0.941
Mg 0.414 0.441 0.356
Mg 0.506 0.531 0.018

=====

No. 5
AlSn2O4 after structural relaxation, computed with PBE.

formation energy	-1273	kJ/mol of formula units
distance to the lowest polymorph of the same formula	113	meV/atom
total energy	-6.0001	eV/atom
space group	C2/c
total magnetic moment	0.00	Bohr magnetons per cell

Cell lengths 7.077, 7.077, 5.594 Å; angles 66.75, 66.75, 110.78 degrees
Sites, in units of the cell vectors:
Sn 0.500 0.500 0.500
Sn 0.000 0.500 0.000
Sn 0.500 0.500 0.000
Sn 0.500 0.000 0.500
O 0.281 0.081 0.803
O 0.081 0.281 0.303
O 0.415 0.107 0.173
O 0.719 0.919 0.197
O 0.585 0.893 0.827
O 0.107 0.415 0.673
O 0.919 0.719 0.697
O 0.893 0.585 0.327
Al 0.127 0.873 0.250
Al 0.873 0.127 0.750

=====

No. 6
KTiS2 after structural relaxation, computed with PBE.

formation energy	-611	kJ/mol of formula units
total energy	-5.6523	eV/atom
space group	R-3m
total magnetic moment	1.00	Bohr magnetons per cell

Cell lengths 3.663, 3.663, 7.597 Å; angles 76.05, 76.05, 60.00 degrees
Sites, in units of the cell vectors:
K 0.500 0.500 0.500
S 0.271 0.271 0.188
S 0.729 0.729 0.812
Ti 0.000 0.000 0.000

=====

No. 7
In4Co12C3 after structural relaxation, computed with PBE.

formation energy	94	kJ/mol of formula units
total energy	-6.4745	eV/atom
space group	P4/mmm
total magnetic moment	4.26	Bohr magnetons per cell

Cell lengths 3.828, 3.828, 15.180 Å; angles 90.00, 90.00, 90.00 degrees
Sites, in units of the cell vectors:
In 0.000 0.000 0.375
In 0.000 0.000 0.625
In 0.000 0.000 0.123
In 0.000 0.000 0.877
C 0.500 0.500 0.244
C 0.500 0.500 0.756
C 0.500 0.500 0.500
Co 0.500 0.500 0.120
Co 0.500 0.500 0.880
Co 0.000 0.500 0.250
Co 0.000 0.500 0.000
Co 0.500 0.000 0.750
Co 0.500 0.500 0.374
Co 0.500 0.000 0.500
Co 0.500 0.000 0.000
Co 0.500 0.500 0.626
Co 0.500 0.000 0.250
Co 0.000 0.500 0.500
Co 0.000 0.500 0.750

=====

No. 8
SnSb2As2F18 after structural relaxation, computed with PBE.

formation energy	-5778	kJ/mol of formula units
total energy	-4.6789	eV/atom
space group	Pc
total magnetic moment	0.00	Bohr magnetons per cell

Cell lengths 11.698, 6.185, 11.318 Å; angles 89.69, 90.00, 90.00 degrees
Sites, in units of the cell vectors:
F 0.875 0.543 0.136
F 0.989 0.319 0.488
F 0.192 0.832 0.108
F 0.754 0.707 0.955
F 0.977 0.056 0.241
F 0.808 0.832 0.608
F 0.618 0.037 0.567
F 0.018 0.765 0.460
F 0.227 0.968 0.665
F 0.800 0.080 0.383
F 0.707 0.038 0.778
F 0.200 0.080 0.883
F 0.113 0.485 0.302
F 0.776 0.278 0.979
F 0.293 0.038 0.278
F 0.382 0.037 0.067
F 0.773 0.968 0.165
F 0.224 0.278 0.479
F 0.518 0.757 0.863
F 0.510 0.318 0.896
F 0.430 0.710 0.642
F 0.680 0.551 0.334
F 0.320 0.551 0.834
F 0.482 0.757 0.363
F 0.023 0.056 0.741
F 0.887 0.485 0.802
F 0.415 0.273 0.676
F 0.490 0.318 0.396
F 0.617 0.484 0.704
F 0.570 0.710 0.142
F 0.585 0.273 0.176
F 0.011 0.319 0.988
F 0.125 0.543 0.636
F 0.246 0.707 0.455
F 0.383 0.484 0.204
F 0.982 0.765 0.960
Sb 0.468 0.513 0.770
Sb 0.532 0.513 0.270
Sb 0.113 0.513 0.469
Sb 0.887 0.513 0.969
As 0.754 0.094 0.629
As 0.246 0.094 0.129
As 0.865 0.887 0.289
As 0.135 0.887 0.789
Sn 0.368 0.002 0.501
Sn 0.632 0.002 0.001

=====

No. 9
LaCo13 after structural relaxation, computed with PBE.

formation energy	-47	kJ/mol of formula units
total energy	-6.9876	eV/atom
space group	Fm-3c

Cell lengths 7.973, 7.973, 7.973 Å; angles 60.00, 60.00, 60.00 degrees
Sites, in units of the cell vectors:
Co 0.940 0.705 0.060
Co 0.500 0.500 0.500
Co 0.205 0.560 0.795
Co 0.940 0.060 0.295
Co 0.795 0.205 0.560
Co 0.060 0.705 0.295
Co 0.060 0.940 0.705
Co 0.560 0.795 0.205
Co 0.560 0.440 0.795
Co 0.295 0.060 0.705
Co 0.795 0.440 0.205
Co 0.705 0.940 0.295
Co 0.795 0.560 0.440
Co 0.440 0.205 0.795
Co 0.205 0.795 0.440
Co 0.705 0.295 0.060
Co 0.060 0.295 0.940
Co 0.705 0.060 0.940
Co 0.295 0.705 0.940
Co 0.000 0.000 0.000
Co 0.440 0.560 0.205
Co 0.440 0.795 0.560
Co 0.205 0.440 0.560
Co 0.560 0.205 0.440
Co 0.940 0.295 0.705
Co 0.295 0.940 0.060
La 0.750 0.750 0.750
La 0.250 0.250 0.250

=====

No. 10
Ba3Sb after structural relaxation, computed with PBE.

formation energy	-209	kJ/mol of formula units
total energy	-2.9660	eV/atom
space group	Pm-3m
total magnetic moment	0.00	Bohr magnetons per cell

Cell lengths 5.572, 5.572, 5.572 Å; angles 90.00, 90.00, 90.00 degrees
Sites, in units of the cell vectors:
Ba 0.500 0.500 0.000
Ba 0.000 0.500 0.500
Ba 0.500 0.000 0.500
Sb 0.000 0.000 0.000

=====

No. 11
La3Rh4Pb13 after structural relaxation, computed with PBE.

formation energy	-641	kJ/mol of formula units
total energy	-4.9588	eV/atom
space group	Pm-3n

Cell lengths 10.210, 10.210, 10.210 Å; angles 90.00, 90.00, 90.00 degrees
Sites, in units of the cell vectors:
La 0.500 0.250 0.000
La 0.250 0.000 0.500
La 0.500 0.750 0.000
La 0.000 0.500 0.250
La 0.000 0.500 0.750
La 0.750 0.000 0.500
Pb 0.192 0.655 0.500
Pb 0.692 0.000 0.155
Pb 0.000 0.845 0.692
Pb 0.345 0.500 0.808
Pb 0.845 0.308 0.000
Pb 0.692 0.000 0.845
Pb 0.000 0.155 0.308
Pb 0.000 0.000 0.000
Pb 0.345 0.500 0.192
Pb 0.500 0.808 0.345
Pb 0.500 0.500 0.500
Pb 0.155 0.692 0.000
Pb 0.500 0.808 0.655
Pb 0.000 0.155 0.692
Pb 0.808 0.345 0.500
Pb 0.308 0.000 0.845
Pb 0.655 0.500 0.192
Pb 0.192 0.345 0.500
Pb 0.500 0.192 0.655
Pb 0.000 0.845 0.308
Pb 0.845 0.692 0.000
Pb 0.155 0.308 0.000
Pb 0.808 0.655 0.500
Pb 0.655 0.500 0.808
Pb 0.500 0.192 0.345
Pb 0.308 0.000 0.155
Rh 0.750 0.750 0.750
Rh 0.250 0.250 0.250
Rh 0.750 0.250 0.750
Rh 0.250 0.750 0.750
Rh 0.250 0.250 0.750
Rh 0.750 0.250 0.250
Rh 0.750 0.750 0.250
Rh 0.250 0.750 0.250

=====

No. 12
Nd3Re2O9 after structural relaxation, computed with PBE.

formation energy	-4077	kJ/mol of formula units
total energy	-8.5571	eV/atom
space group	P-1

Cell lengths 5.638, 6.848, 11.103 Å; angles 77.01, 75.55, 69.11 degrees
Sites, in units of the cell vectors:
O 0.174 0.511 0.191
O 0.695 0.581 0.410
O 0.372 0.818 0.579
O 0.642 0.523 0.185
O 0.826 0.489 0.809
O 0.628 0.182 0.421
O 0.892 0.747 0.539
O 0.305 0.419 0.590
O 0.358 0.477 0.815
O 0.587 0.057 0.689
O 0.108 0.253 0.461
O 0.382 0.171 0.071
O 0.618 0.829 0.929
O 0.413 0.943 0.311
O 0.142 0.814 0.937
O 0.858 0.186 0.063
O 0.940 0.886 0.287
O 0.060 0.114 0.713
Re 0.490 0.614 0.908
Re 0.356 0.123 0.571
Re 0.510 0.386 0.092
Re 0.644 0.877 0.429
Nd 0.284 0.594 0.380
Nd 0.778 0.837 0.118
Nd 0.716 0.406 0.620
Nd 0.222 0.163 0.882
Nd 0.997 0.776 0.730
Nd 0.003 0.224 0.270